No. 1
This record from the Materials Project describes Li3Co2SnO6 after structural relaxation. The functional is PBE+U.

As for the crystal system: monoclinic.

The space group is C2/m (No. 12) and the conventional cell measures 13.059, 3.066 and 6.061 Å, with angles of 90.00, 103.73 and 90.00 degrees. Symmetry generates all atoms from Li at (0.000, 0.000, 0.000), Li at (0.174, 0.500, 0.331), Co at (0.175, 0.500, 0.849), Sn at (0.000, 0.000, 0.500), O at (0.002, 0.500, 0.741), O at (0.162, 0.000, 0.600) and O at (0.169, 0.000, 0.077).

No. 2
This record from the Materials Project describes Li2Co3SnO8 after structural relaxation. The functional is PBE+U.

As for the crystal system: trigonal.

The space group is R-3m (No. 166, hexagonal axes) and the conventional cell measures 5.7661, 5.7661 and 14.8240 Å, with angles of 90.00, 90.00 and 120.00 degrees. Symmetry generates all atoms from Li at (0.0000, 0.0000, 0.1152), Co at (0.0000, 0.5000, 0.0000), Sn at (0.0000, 0.0000, 0.5000), O at (0.0000, 0.0000, 0.2696) and O at (0.0266, 0.5133, 0.2614).

| no. | DFT total energy (eV per cell) | magnetization (μB/f.u.) |
| --- | --- | --- |
| 1 | -136.50 | 7.0 |
| 2 | -237.75 | 11.0 |